Run P
# MgMn2O4 | the Materials Project | PBE with a Hubbard U | optimized geometry
data_MgMn2O4
_cell_length_a 6.187
_cell_length_b 6.187
_cell_length_c 14.841
_cell_angle_alpha 86.38
_cell_angle_beta 86.38
_cell_angle_gamma 57.05
_symmetry_space_group_name_H-M 'P 1'
_symmetry_Int_Tables_number 1
loop_
_symmetry_equiv_pos_as_xyz
'x,y,z'
loop_
_atom_site_label
_atom_site_type_symbol
_atom_site_fract_x
_atom_site_fract_y
_atom_site_fract_z
Mg1 Mg 0.163 0.163 0.953
Mg2 Mg 0.507 0.507 0.619
Mg3 Mg 0.840 0.840 0.665
Mg4 Mg 0.831 0.831 0.290
Mg5 Mg 0.496 0.496 0.999
Mg6 Mg 0.503 0.503 0.377
Mn1 Mn 0.668 0.668 0.834
Mn2 Mn 0.666 0.170 0.833
Mn3 Mn 0.005 0.005 0.500
Mn4 Mn 0.170 0.666 0.833
Mn5 Mn 0.006 0.510 0.502
Mn6 Mn 0.167 0.167 0.334
Mn7 Mn 0.171 0.171 0.713
Mn8 Mn 0.330 0.330 0.168
Mn9 Mn 0.510 0.006 0.502
Mn10 Mn 0.326 0.831 0.165
Mn11 Mn 0.831 0.326 0.165
Mn12 Mn 0.831 0.831 0.047
O1 O 0.348 0.348 0.910
O2 O 0.495 0.495 0.757
O3 O 0.346 0.806 0.906
O4 O 0.806 0.346 0.906
O5 O 0.689 0.689 0.580
O6 O 0.536 0.001 0.763
O7 O 0.829 0.829 0.426
O8 O 0.001 0.536 0.763
O9 O 0.843 0.843 0.909
O10 O 0.694 0.152 0.577
O11 O 0.152 0.694 0.577
O12 O 0.985 0.985 0.758
O13 O 0.010 0.010 0.242
O14 O 0.865 0.315 0.418
O15 O 0.315 0.865 0.418
O16 O 0.154 0.154 0.090
O17 O 0.180 0.180 0.574
O18 O 0.016 0.469 0.247
O19 O 0.469 0.016 0.247
O20 O 0.324 0.324 0.423
O21 O 0.189 0.642 0.091
O22 O 0.642 0.189 0.091
O23 O 0.507 0.507 0.241
O24 O 0.645 0.645 0.087
# **Crystal system**: monoclinic
# **Symmetry**: Cm (8)

Run Q
# MgMn2O4 | the Materials Project | PBE with a Hubbard U | optimized geometry
data_MgMn2O4
_cell_length_a 6.071
_cell_length_b 10.348
_cell_length_c 6.071
_cell_angle_alpha 106.03
_cell_angle_beta 119.79
_cell_angle_gamma 73.97
_symmetry_space_group_name_H-M 'P 1'
_symmetry_Int_Tables_number 1
loop_
_symmetry_equiv_pos_as_xyz
'x,y,z'
loop_
_atom_site_label
_atom_site_type_symbol
_atom_site_fract_x
_atom_site_fract_y
_atom_site_fract_z
Mg1 Mg 0.512 0.488 0.488
Mg2 Mg 0.011 0.988 0.989
Mg3 Mg 0.313 0.061 0.687
Mg4 Mg 0.813 0.562 0.187
Mn1 Mn 0.114 0.637 0.886
Mn2 Mn 0.615 0.138 0.385
Mn3 Mn 0.062 0.313 0.437
Mn4 Mn 0.562 0.813 0.937
Mn5 Mn 0.062 0.312 0.938
Mn6 Mn 0.562 0.812 0.438
Mn7 Mn 0.563 0.313 0.938
Mn8 Mn 0.063 0.813 0.438
O1 O 0.172 0.429 0.828
O2 O 0.671 0.932 0.329
O3 O 0.955 0.191 0.046
O4 O 0.454 0.691 0.546
O5 O 0.967 0.202 0.590
O6 O 0.468 0.704 0.093
O7 O 0.410 0.208 0.590
O8 O 0.908 0.709 0.092
O9 O 0.410 0.202 0.033
O10 O 0.907 0.704 0.532
O11 O 0.712 0.424 0.836
O12 O 0.213 0.923 0.336
O13 O 0.713 0.418 0.287
O14 O 0.213 0.918 0.787
O15 O 0.164 0.424 0.288
O16 O 0.664 0.923 0.787
# **Crystal system**: monoclinic
# **Symmetry**: Cm (8)

Run R
# MgMn2O4 | the Materials Project | PBE with a Hubbard U | optimized geometry
data_MgMn2O4
_cell_length_a 5.692
_cell_length_b 11.271
_cell_length_c 15.809
_cell_angle_alpha 47.33
_cell_angle_beta 90.00
_cell_angle_gamma 90.00
_symmetry_space_group_name_H-M 'P 1'
_symmetry_Int_Tables_number 1
loop_
_symmetry_equiv_pos_as_xyz
'x,y,z'
loop_
_atom_site_label
_atom_site_type_symbol
_atom_site_fract_x
_atom_site_fract_y
_atom_site_fract_z
Mg1 Mg 0.114 0.388 0.174
Mg2 Mg 0.389 0.745 0.075
Mg3 Mg 0.389 0.255 0.425
Mg4 Mg 0.114 0.612 0.326
Mg5 Mg 0.611 0.745 0.575
Mg6 Mg 0.886 0.388 0.674
Mg7 Mg 0.886 0.612 0.826
Mg8 Mg 0.611 0.255 0.925
Mn1 Mn 0.877 0.730 0.937
Mn2 Mn 0.381 0.693 0.932
Mn3 Mn 0.873 0.914 0.141
Mn4 Mn 0.379 0.917 0.150
Mn5 Mn 0.379 0.083 0.350
Mn6 Mn 0.873 0.086 0.359
Mn7 Mn 0.381 0.307 0.568
Mn8 Mn 0.877 0.270 0.563
Mn9 Mn 0.123 0.730 0.437
Mn10 Mn 0.619 0.693 0.432
Mn11 Mn 0.127 0.914 0.641
Mn12 Mn 0.621 0.917 0.650
Mn13 Mn 0.127 0.086 0.859
Mn14 Mn 0.621 0.083 0.850
Mn15 Mn 0.123 0.270 0.063
Mn16 Mn 0.619 0.307 0.068
O1 O 0.113 0.268 0.659
O2 O 0.646 0.266 0.660
O3 O 0.118 0.953 0.382
O4 O 0.632 0.932 0.400
O5 O 0.118 0.047 0.118
O6 O 0.632 0.068 0.100
O7 O 0.113 0.732 0.841
O8 O 0.646 0.734 0.840
O9 O 0.354 0.266 0.160
O10 O 0.887 0.268 0.159
O11 O 0.368 0.932 0.900
O12 O 0.882 0.953 0.882
O13 O 0.882 0.047 0.618
O14 O 0.368 0.068 0.600
O15 O 0.887 0.732 0.341
O16 O 0.354 0.734 0.340
O17 O 0.851 0.622 0.552
O18 O 0.385 0.637 0.541
O19 O 0.386 0.807 0.638
O20 O 0.858 0.780 0.656
O21 O 0.385 0.363 0.959
O22 O 0.851 0.378 0.948
O23 O 0.858 0.220 0.844
O24 O 0.386 0.193 0.862
O25 O 0.149 0.622 0.052
O26 O 0.615 0.637 0.041
O27 O 0.142 0.780 0.156
O28 O 0.614 0.807 0.138
O29 O 0.149 0.378 0.448
O30 O 0.615 0.363 0.459
O31 O 0.142 0.220 0.344
O32 O 0.614 0.193 0.362
# **Crystal system**: monoclinic
# **Symmetry**: P2/c (13)

Of them, run Q has the highest stability.

Run P
The following is a DFT calculation (PBE with a Hubbard U) of an optimized crystal structure of Li2FeBO4.

```
data_Li2FeBO4
_cell_length_a 5.037
_cell_length_b 10.073
_cell_length_c 6.172
_cell_angle_alpha 90.00
_cell_angle_beta 90.00
_cell_angle_gamma 92.07
_symmetry_space_group_name_H-M 'P 1'
_symmetry_Int_Tables_number 1
loop_
_symmetry_equiv_pos_as_xyz
'x,y,z'
loop_
_atom_site_label
_atom_site_type_symbol
_atom_site_fract_x
_atom_site_fract_y
_atom_site_fract_z
Li1 Li 0.305 0.348 0.500
Li2 Li 0.305 0.848 0.500
Li3 Li 0.695 0.152 0.000
Li4 Li 0.695 0.652 0.000
Li5 Li 0.174 0.087 0.750
Li6 Li 0.174 0.587 0.750
Li7 Li 0.826 0.413 0.250
Li8 Li 0.826 0.913 0.250
Fe1 Fe 0.316 0.842 0.000
Fe2 Fe 0.684 0.658 0.500
Fe3 Fe 0.316 0.342 0.000
Fe4 Fe 0.684 0.158 0.500
B1 B 0.181 0.090 0.250
B2 B 0.181 0.590 0.250
B3 B 0.819 0.410 0.750
B4 B 0.819 0.910 0.750
O1 O 0.219 0.443 0.242
O2 O 0.219 0.943 0.242
O3 O 0.114 0.390 0.758
O4 O 0.114 0.890 0.758
O5 O 0.886 0.110 0.258
O6 O 0.886 0.610 0.258
O7 O 0.781 0.057 0.742
O8 O 0.781 0.557 0.742
O9 O 0.294 0.154 0.049
O10 O 0.294 0.654 0.049
O11 O 0.693 0.353 0.950
O12 O 0.693 0.853 0.950
O13 O 0.706 0.346 0.549
O14 O 0.706 0.846 0.549
O15 O 0.307 0.147 0.450
O16 O 0.307 0.647 0.450
```

Run Q
# Li2FeBO4 | the Materials Project | PBE with a Hubbard U | optimized geometry
data_Li2FeBO4
_cell_length_a 5.207
_cell_length_b 6.445
_cell_length_c 10.716
_cell_angle_alpha 85.22
_cell_angle_beta 90.00
_cell_angle_gamma 90.00
_symmetry_space_group_name_H-M 'P 1'
_symmetry_Int_Tables_number 1
loop_
_symmetry_equiv_pos_as_xyz
'x,y,z'
loop_
_atom_site_label
_atom_site_type_symbol
_atom_site_fract_x
_atom_site_fract_y
_atom_site_fract_z
Li1 Li 0.649 0.905 0.791
Li2 Li 0.851 0.905 0.291
Li3 Li 0.827 0.784 0.572
Li4 Li 0.673 0.784 0.072
Li5 Li 0.327 0.216 0.928
Li6 Li 0.173 0.216 0.428
Li7 Li 0.149 0.095 0.709
Li8 Li 0.351 0.095 0.209
Fe1 Fe 0.853 0.495 0.847
Fe2 Fe 0.353 0.505 0.653
Fe3 Fe 0.647 0.495 0.347
Fe4 Fe 0.147 0.505 0.153
B1 B 0.184 0.805 0.939
B2 B 0.316 0.805 0.439
B3 B 0.684 0.195 0.561
B4 B 0.816 0.195 0.061
O1 O 0.303 0.942 0.855
O2 O 0.197 0.942 0.355
O3 O 0.920 0.751 0.926
O4 O 0.580 0.751 0.426
O5 O 0.185 0.712 0.544
O6 O 0.660 0.616 0.711
O7 O 0.315 0.712 0.044
O8 O 0.840 0.616 0.211
O9 O 0.160 0.384 0.789
O10 O 0.685 0.288 0.956
O11 O 0.340 0.384 0.289
O12 O 0.815 0.288 0.456
O13 O 0.420 0.249 0.574
O14 O 0.080 0.249 0.074
O15 O 0.803 0.058 0.645
O16 O 0.697 0.058 0.145
# **Crystal system**: monoclinic
# **Symmetry**: P2_1/c (14)

Of them, run Q has the highest stability.